(1)
La6Sm2Cr5Fe3O24 | PBE+U | relaxed

Geometry as POSCAR:
```
La6Sm2Cr5Fe3O24
1.0
7.842 0.000 0.000
0.000 7.842 0.000
-0.001 0.000 7.843
La Sm Cr Fe O
6 2 5 3 24
Direct
0.000 0.250 0.000
0.000 0.250 0.498
0.000 0.750 0.000
0.000 0.750 0.498
0.501 0.250 0.498
0.501 0.750 0.498
0.501 0.250 0.000
0.501 0.750 0.000
0.251 0.000 0.249
0.251 0.500 0.249
0.750 0.000 0.249
0.750 0.000 0.750
0.750 0.500 0.249
0.251 0.000 0.750
0.251 0.500 0.750
0.750 0.500 0.750
0.000 0.000 0.249
0.000 0.000 0.749
0.000 0.500 0.249
0.000 0.500 0.749
0.250 0.000 0.498
0.250 0.500 0.498
0.252 0.250 0.248
0.252 0.250 0.750
0.252 0.750 0.248
0.252 0.750 0.750
0.253 0.000 0.000
0.253 0.500 0.000
0.500 0.000 0.246
0.500 0.500 0.246
0.501 0.000 0.752
0.501 0.500 0.752
0.747 0.000 0.000
0.748 0.500 0.000
0.749 0.249 0.751
0.749 0.250 0.248
0.749 0.750 0.248
0.749 0.751 0.751
0.750 0.000 0.499
0.750 0.500 0.498
```

Output
As for the total energy: -7.90 eV/atom. The calculation puts the total magnetization at 0.750 μB/atom. As for the volume: 482.32 Å³/cell. The energy of formation comes out at -2.94 eV/atom. Its space group is No. 6.

***

(2)
SrPrNiBiO6 | PBE+U | relaxed

Geometry as POSCAR:
```
SrPrNiBiO6
1.0
0.000 4.094 4.094
4.094 0.000 4.094
4.094 4.094 0.000
Sr Pr Ni Bi O
1 1 1 1 6
Direct
0.000 0.000 0.000
0.500 0.500 0.500
0.750 0.750 0.750
0.250 0.250 0.250
0.505 0.505 0.995
0.505 0.995 0.505
0.505 0.995 0.995
0.995 0.505 0.505
0.995 0.505 0.995
0.995 0.995 0.505
```

Output
As for the total energy: -6.07 eV/atom. The calculation puts the total magnetization at 0.200 μB/atom. As for the volume: 137.25 Å³/cell. The energy of formation comes out at -2.15 eV/atom. Its space group is No. 216.

***

(3)
MnP5O15 | PBE+U | relaxed

Geometry as POSCAR:
```
MnP5O15
1.0
5.040 0.000 0.000
0.000 13.694 0.000
-1.840 0.000 8.871
Mn P O
2 10 30
Direct
0.000 0.000 0.000
0.000 0.500 0.000
0.049 0.250 0.494
0.144 0.577 0.687
0.144 0.923 0.687
0.492 0.641 0.976
0.492 0.859 0.976
0.508 0.141 0.024
0.508 0.359 0.024
0.856 0.077 0.313
0.856 0.423 0.313
0.951 0.750 0.506
0.001 0.017 0.210
0.001 0.483 0.210
0.072 0.161 0.382
0.072 0.339 0.382
0.204 0.122 0.996
0.204 0.378 0.996
0.211 0.750 0.446
0.278 0.250 0.631
0.278 0.526 0.580
0.278 0.974 0.580
0.335 0.574 0.059
0.335 0.926 0.059
0.368 0.646 0.802
0.368 0.854 0.802
0.458 0.750 0.034
0.542 0.250 0.966
0.632 0.146 0.198
0.632 0.354 0.198
0.665 0.074 0.941
0.665 0.426 0.941
0.722 0.026 0.420
0.722 0.474 0.420
0.722 0.750 0.369
0.789 0.250 0.554
0.796 0.622 0.004
0.796 0.878 0.004
0.928 0.661 0.618
0.928 0.839 0.618
0.999 0.517 0.790
0.999 0.983 0.790
```

Output
As for the total energy: -6.99 eV/atom. The calculation puts the total magnetization at 0.191 μB/atom. As for the volume: 612.26 Å³/cell. The energy of formation comes out at -2.30 eV/atom. Its space group is No. 11.

***

(4)
Sr3Co2Cl2O4 | PBE+U | relaxed

Geometry as POSCAR:
```
Sr3Co2Cl2O4
1.0
4.172 0.000 0.000
-0.032 7.967 0.000
-2.084 -1.980 11.262
Sr Co Cl O
6 4 4 8
Direct
0.000 0.000 0.000
0.002 0.509 0.004
0.146 0.084 0.298
0.155 0.572 0.300
0.294 0.149 0.594
0.302 0.656 0.597
0.564 0.286 0.127
0.575 0.792 0.149
0.726 0.865 0.449
0.736 0.371 0.470
0.445 0.722 0.891
0.451 0.232 0.903
0.847 0.424 0.694
0.851 0.934 0.705
0.071 0.288 0.142
0.073 0.790 0.144
0.227 0.368 0.455
0.227 0.866 0.453
0.572 0.038 0.145
0.574 0.541 0.146
0.723 0.115 0.451
0.729 0.618 0.452
```

Output
As for the total energy: -5.57 eV/atom. The calculation puts the total magnetization at 0.008 μB/atom. The offset from the most stable computed form is 25 meV per atom. As for the volume: 374.36 Å³/cell. The energy of formation comes out at -2.23 eV/atom. Its space group is No. 1.